## NaSi6 (PBE)

Data for a relaxed structure of NaSi6.

Cell: 7.1276 7.1276 2.5003 Å, 90.00 90.00 120.00°
With the nearest neighbours (Å) after each atom.
Space group P6/m (No. 175)
Unique sites:
Na 0.0000 0.0000 0.0000  2 Na 2.50
Si 0.1471 0.7085 0.5000  7 Si 2.50-2.76

Results
Spin magnetization: 0.003 μB/f.u.
Formation energy from the elements: 0.34 eV/atom
Total DFT energy (no corrections): -4.560 eV/atom

## TiCrAgS4 (PBE)

Data for a relaxed structure of TiCrAgS4.

Cell: 5.9584 3.4843 12.8188 Å, 90.00 90.97 90.00°
With the nearest neighbours (Å) after each atom.
Space group P2/m (No. 10)
Unique sites:
Ti 0.0295 0.0000 0.2493  6 S 2.35-2.54
Cr 0.4826 0.5000 0.2523  6 S 2.41-2.42
Ag 0.0000 0.0000 0.5000  6 S 2.70-2.76
Ag 0.5000 0.5000 0.0000  6 S 2.69-2.76
S 0.1594 0.5000 0.1354  2 Ti 2.41, 1 Cr 2.42, 1 Ag 2.69
S 0.1705 0.5000 0.6482  1 Cr 2.41, 2 Ti 2.50
S 0.3421 0.0000 0.3640  1 Ti 2.35, 2 Cr 2.41
S 0.3448 0.0000 0.8484  2 Cr 2.41, 1 Ti 2.54

Results
Spin magnetization: 3.002 μB/f.u.
Formation energy from the elements: -1.11 eV/atom
Total DFT energy (no corrections): -6.093 eV/atom